Material: LuTe3
Method: DFT, GGA-PBE
State: optimized geometry

CIF file:
```
data_LuTe3
_chemical_formula_sum 'Lu4 Te12'
_cell_length_a 3.9185
_cell_length_b 27.8470
_cell_length_c 4.6463
_cell_angle_alpha 90.00
_cell_angle_beta 90.00
_cell_angle_gamma 90.00
_space_group_name_H-M_alt 'C m c m'
_space_group_IT_number 63
_space_group_name_Hall '-C 2c 2'
loop_
_atom_site_label
_atom_site_type_symbol
_atom_site_fract_x
_atom_site_fract_y
_atom_site_fract_z
Lu1 Lu 0.0000 0.0494 0.2500
Te1 Te 0.0000 0.1620 0.2500
Te2 Te 0.0000 0.3150 0.2500
Te3 Te 0.0000 0.4494 0.2500
```

Calculated values
Calculated total energy   -3.969 eV/atom
E_form   -797 meV/atom